The following is a DFT calculation (GGA+U) of SrLaVO4 after structural relaxation.

a b c (Å): 8.900 8.900 8.900
angles (deg): 143.68 100.76 90.44
Positions (direct):
Sr (0.119, 0.250, 0.369)
Sr (0.381, 0.750, 0.131)
Sr (0.619, 0.250, 0.869)
Sr (0.880, 0.750, 0.631)
La (0.152, 0.036, 0.616)
La (0.420, 0.536, 0.384)
La (0.651, 0.036, 0.115)
La (0.921, 0.536, 0.885)
V (0.015, 0.390, 0.125)
V (0.266, 0.890, 0.875)
V (0.515, 0.391, 0.625)
V (0.766, 0.891, 0.375)
O (0.077, 0.720, 0.857)
O (0.157, 0.559, 0.098)
O (0.162, 0.162, 0.000)
O (0.162, 0.662, 0.500)
O (0.363, 0.220, 0.643)
O (0.384, 0.134, 0.250)
O (0.384, 0.634, 0.750)
O (0.461, 0.059, 0.902)
O (0.577, 0.720, 0.357)
O (0.656, 0.559, 0.597)
O (0.663, 0.163, 0.500)
O (0.663, 0.663, 0.000)
O (0.863, 0.220, 0.143)
O (0.884, 0.134, 0.750)
O (0.884, 0.634, 0.250)
O (0.962, 0.059, 0.403)

Calculated values
For the magnetization, the calculation gives 0.0 μB/cell. For the energy with MP2020 corrections, the calculation gives -0.3052 hartree per atom. As for the formation energy: -3.233 eV/atom. For the energy above the most stable polymorph in this dataset, the calculation gives 0.00 eV/f.u.